# 1
Na2SnPCO7 | PBE | relaxed

Crystal system: monoclinic
ΔE_f (eV/atom): -2.216
Symmetry: P2_1/m (11)
Magnetization (μB/f.u.): 0.00
Energy above the most stable polymorph in this dataset (meV per atom): 0

Lattice parameters (Å, degrees): 5.321 6.877 9.199 90.00 92.67 90.00
Positions (direct):
Na: 0.235 0.004 0.221
Na: 0.235 0.496 0.221
Na: 0.765 0.504 0.779
Na: 0.765 0.996 0.779
Sn: 0.219 0.250 0.635
Sn: 0.781 0.750 0.365
P: 0.287 0.750 0.587
P: 0.713 0.250 0.413
C: 0.273 0.250 0.928
C: 0.727 0.750 0.072
O: 0.053 0.250 0.854
O: 0.177 0.569 0.663
O: 0.177 0.931 0.663
O: 0.201 0.750 0.420
O: 0.290 0.250 0.065
O: 0.421 0.250 0.401
O: 0.471 0.250 0.847
O: 0.529 0.750 0.153
O: 0.579 0.750 0.599
O: 0.710 0.750 0.935
O: 0.799 0.250 0.580
O: 0.823 0.069 0.337
O: 0.823 0.431 0.337
O: 0.947 0.750 0.146

# 2
Na2SnPCO7 | PBE | relaxed

Crystal system: monoclinic
ΔE_f (eV/atom): -2.196
Symmetry: P2_1 (4)
Magnetization (μB/f.u.): 0.01
Energy above the most stable polymorph in this dataset (meV per atom): 20

Lattice parameters (Å, degrees): 5.577 6.915 9.144 90.00 93.40 90.00
Positions (direct):
Na: 0.224 0.000 0.083
Na: 0.260 0.276 0.727
Na: 0.740 0.776 0.273
Na: 0.776 0.500 0.917
Sn: 0.216 0.480 0.341
Sn: 0.784 0.980 0.659
P: 0.275 0.989 0.419
P: 0.725 0.489 0.581
C: 0.312 0.494 0.051
C: 0.688 0.994 0.949
O: 0.089 0.481 0.093
O: 0.156 0.012 0.566
O: 0.176 0.814 0.324
O: 0.220 0.165 0.314
O: 0.362 0.471 0.919
O: 0.449 0.464 0.551
O: 0.480 0.527 0.156
O: 0.520 0.027 0.844
O: 0.551 0.964 0.449
O: 0.638 0.971 0.081
O: 0.780 0.665 0.686
O: 0.824 0.314 0.676
O: 0.844 0.512 0.434
O: 0.911 0.981 0.907

# 3
Na2TiPCO7 | PBE | relaxed

Crystal system: monoclinic
ΔE_f (eV/atom): -2.551
Symmetry: P2_1/m (11)
Magnetization (μB/f.u.): 1.00

Lattice parameters (Å, degrees): 5.290 6.557 9.064 90.00 90.29 90.00
Positions (direct):
Na: 0.236 0.002 0.269
Na: 0.236 0.498 0.269
Na: 0.764 0.502 0.731
Na: 0.764 0.998 0.731
Ti: 0.220 0.250 0.848
Ti: 0.780 0.750 0.152
P: 0.292 0.750 0.926
P: 0.708 0.250 0.074
C: 0.272 0.250 0.573
C: 0.728 0.750 0.427
O: 0.052 0.250 0.642
O: 0.157 0.750 0.077
O: 0.212 0.557 0.837
O: 0.212 0.943 0.837
O: 0.291 0.250 0.435
O: 0.415 0.250 0.054
O: 0.467 0.250 0.665
O: 0.533 0.750 0.335
O: 0.585 0.750 0.946
O: 0.709 0.750 0.565
O: 0.788 0.057 0.163
O: 0.788 0.443 0.163
O: 0.843 0.250 0.923
O: 0.948 0.750 0.358

# 4
Na3TlPCO7 | PBE | relaxed

Crystal system: monoclinic
ΔE_f (eV/atom): -2.121
Symmetry: P2_1 (4)
Magnetization (μB/f.u.): 0.00
Energy above the most stable polymorph in this dataset (meV per atom): 14

Lattice parameters (Å, degrees): 5.405 7.047 9.389 90.00 90.13 90.00
Positions (direct):
Na: 0.005 0.000 0.328
Na: 0.027 0.275 0.015
Na: 0.491 0.283 0.486
Na: 0.509 0.783 0.514
Na: 0.973 0.775 0.985
Na: 0.995 0.500 0.672
Tl: 0.483 0.558 0.188
Tl: 0.517 0.058 0.812
P: 0.494 0.034 0.168
P: 0.506 0.534 0.832
C: 0.012 0.044 0.641
C: 0.988 0.544 0.359
O: 0.028 0.044 0.780
O: 0.203 0.566 0.420
O: 0.207 0.024 0.561
O: 0.256 0.967 0.094
O: 0.286 0.555 0.938
O: 0.421 0.391 0.714
O: 0.433 0.225 0.247
O: 0.567 0.725 0.753
O: 0.579 0.891 0.286
O: 0.714 0.055 0.062
O: 0.744 0.467 0.906
O: 0.793 0.524 0.439
O: 0.797 0.066 0.580
O: 0.972 0.544 0.220

# 5
Na3TlPCO7 | PBE | relaxed

Crystal system: monoclinic
ΔE_f (eV/atom): -2.135
Symmetry: P2_1/m (11)
Magnetization (μB/f.u.): 0.00
Energy above the most stable polymorph in this dataset (meV per atom): 0

Lattice parameters (Å, degrees): 5.333 7.214 9.463 90.00 90.31 90.00
Positions (direct):
Na: 0.241 0.002 0.255
Na: 0.241 0.498 0.255
Na: 0.241 0.750 0.917
Na: 0.759 0.250 0.083
Na: 0.759 0.502 0.745
Na: 0.759 0.998 0.745
Tl: 0.239 0.250 0.629
Tl: 0.761 0.750 0.371
P: 0.297 0.750 0.599
P: 0.703 0.250 0.401
C: 0.265 0.250 0.949
C: 0.735 0.750 0.051
O: 0.044 0.250 0.889
O: 0.189 0.580 0.681
O: 0.189 0.920 0.681
O: 0.224 0.750 0.439
O: 0.284 0.250 0.086
O: 0.412 0.250 0.390
O: 0.470 0.250 0.873
O: 0.530 0.750 0.127
O: 0.588 0.750 0.610
O: 0.716 0.750 0.914
O: 0.776 0.250 0.561
O: 0.811 0.080 0.319
O: 0.811 0.420 0.319
O: 0.956 0.750 0.111

# 6
Na2TmPCO7 | PBE | relaxed

Crystal system: monoclinic
ΔE_f (eV/atom): -2.775
Symmetry: P2_1/m (11)
Magnetization (μB/f.u.): 0.00

Lattice parameters (Å, degrees): 5.333 6.936 9.193 90.00 91.07 90.00
Positions (direct):
Na: 0.234 0.004 0.224
Na: 0.234 0.496 0.224
Na: 0.766 0.504 0.776
Na: 0.766 0.996 0.776
Tm: 0.227 0.250 0.641
Tm: 0.773 0.750 0.359
P: 0.291 0.750 0.581
P: 0.709 0.250 0.419
C: 0.269 0.250 0.933
C: 0.731 0.750 0.067
O: 0.049 0.250 0.864
O: 0.182 0.750 0.421
O: 0.203 0.567 0.660
O: 0.203 0.933 0.660
O: 0.292 0.250 0.069
O: 0.416 0.250 0.428
O: 0.465 0.250 0.844
O: 0.535 0.750 0.156
O: 0.584 0.750 0.572
O: 0.708 0.750 0.931
O: 0.797 0.067 0.340
O: 0.797 0.433 0.340
O: 0.818 0.250 0.579
O: 0.951 0.750 0.136

# 7
Na3ZnPCO7 | PBE | relaxed

Crystal system: monoclinic
ΔE_f (eV/atom): -2.290
Symmetry: P2_1 (4)
Magnetization (μB/f.u.): 0.00
Energy above the most stable polymorph in this dataset (meV per atom): 9
Maximum piezoelectric response (C/m2): 0.777

Lattice parameters (Å, degrees): 5.312 6.602 8.995 90.00 90.95 90.00
Positions (direct):
Na: 0.004 0.000 0.012
Na: 0.054 0.300 0.331
Na: 0.493 0.003 0.498
Na: 0.507 0.503 0.502
Na: 0.946 0.800 0.669
Na: 0.996 0.500 0.988
Zn: 0.483 0.751 0.201
Zn: 0.517 0.251 0.799
P: 0.480 0.751 0.846
P: 0.520 0.251 0.154
C: 0.008 0.750 0.349
C: 0.992 0.250 0.651
O: 0.079 0.752 0.212
O: 0.173 0.747 0.458
O: 0.195 0.758 0.870
O: 0.233 0.249 0.620
O: 0.371 0.247 0.002
O: 0.432 0.439 0.247
O: 0.440 0.063 0.247
O: 0.560 0.563 0.753
O: 0.568 0.939 0.753
O: 0.629 0.747 0.998
O: 0.767 0.749 0.380
O: 0.805 0.258 0.130
O: 0.827 0.247 0.542
O: 0.921 0.252 0.788

# 8
Na3ZnPCO7 | PBE | relaxed

Crystal system: monoclinic
ΔE_f (eV/atom): -2.299
Symmetry: P2_1/m (11)
Magnetization (μB/f.u.): 0.00
Energy above the most stable polymorph in this dataset (meV per atom): 0

Lattice parameters (Å, degrees): 5.182 6.720 8.970 90.00 90.03 90.00
Positions (direct):
Na: 0.240 0.250 0.083
Na: 0.249 0.501 0.740
Na: 0.249 0.999 0.740
Na: 0.751 0.001 0.260
Na: 0.751 0.499 0.260
Na: 0.760 0.750 0.917
Zn: 0.218 0.750 0.362
Zn: 0.782 0.250 0.638
P: 0.296 0.250 0.415
P: 0.704 0.750 0.585
C: 0.264 0.750 0.063
C: 0.736 0.250 0.937
O: 0.038 0.750 0.126
O: 0.166 0.250 0.570
O: 0.219 0.065 0.320
O: 0.219 0.435 0.320
O: 0.286 0.750 0.919
O: 0.404 0.750 0.562
O: 0.469 0.750 0.148
O: 0.531 0.250 0.852
O: 0.596 0.250 0.438
O: 0.714 0.250 0.081
O: 0.781 0.565 0.680
O: 0.781 0.935 0.680
O: 0.834 0.750 0.430
O: 0.962 0.250 0.874

# 9
Na2ZrPCO10 | PBE | relaxed

Crystal system: monoclinic
ΔE_f (eV/atom): -1.811
Symmetry: C2/m (12)
Magnetization (μB/f.u.): 1.02

Lattice parameters (Å, degrees): 7.136 7.136 11.558 115.32 115.32 55.96
Positions (direct):
Na: 0.219 0.721 0.679
Na: 0.279 0.781 0.321
Na: 0.721 0.219 0.679
Na: 0.781 0.279 0.321
Zr: 0.177 0.177 0.133
Zr: 0.823 0.823 0.867
P: 0.249 0.249 0.872
P: 0.751 0.751 0.128
C: 0.295 0.295 0.398
C: 0.705 0.705 0.602
O: 0.013 0.013 0.942
O: 0.054 0.054 0.514
O: 0.114 0.114 0.775
O: 0.126 0.501 0.858
O: 0.175 0.175 0.325
O: 0.267 0.267 0.018
O: 0.349 0.349 0.522
O: 0.351 0.351 0.326
O: 0.462 0.462 0.165
O: 0.499 0.874 0.142
O: 0.501 0.126 0.858
O: 0.538 0.538 0.835
O: 0.649 0.649 0.674
O: 0.651 0.651 0.478
O: 0.733 0.733 0.982
O: 0.825 0.825 0.675
O: 0.874 0.499 0.142
O: 0.886 0.886 0.225
O: 0.946 0.946 0.486
O: 0.987 0.987 0.058

# 10
Rb6Na2U2C6O23 | PBE | relaxed

Crystal system: triclinic
ΔE_f (eV/atom): -2.341
Symmetry: P1 (1)
Magnetization (μB/f.u.): 2.00

Lattice parameters (Å, degrees): 8.561 9.631 9.632 119.98 90.01 90.00
Positions (direct):
Rb: 0.000 0.000 0.000
Rb: 0.000 0.280 0.718
Rb: 0.000 0.718 0.438
Rb: 0.499 0.000 0.002
Rb: 0.499 0.282 0.718
Rb: 0.499 0.717 0.436
Na: 0.249 0.666 0.052
Na: 0.749 0.333 0.386
U: 0.249 0.333 0.385
U: 0.749 0.666 0.052
C: 0.249 0.013 0.348
C: 0.249 0.370 0.103
C: 0.249 0.615 0.705
C: 0.749 0.384 0.090
C: 0.749 0.629 0.733
C: 0.749 0.986 0.334
O: 0.033 0.333 0.386
O: 0.249 0.039 0.226
O: 0.249 0.146 0.489
O: 0.249 0.230 0.095
O: 0.249 0.467 0.679
O: 0.249 0.492 0.251
O: 0.249 0.737 0.844
O: 0.250 0.387 0.981
O: 0.250 0.624 0.573
O: 0.250 0.874 0.331
O: 0.465 0.333 0.386
O: 0.534 0.666 0.052
O: 0.749 0.124 0.457
O: 0.749 0.262 0.106
O: 0.749 0.376 0.949
O: 0.749 0.507 0.758
O: 0.749 0.531 0.212
O: 0.749 0.613 0.594
O: 0.749 0.769 0.865
O: 0.749 0.853 0.342
O: 0.749 0.961 0.187
O: 0.794 0.000 0.718
O: 0.964 0.666 0.052

# 11
Na4Sb2C4SO16 | PBE | relaxed

Crystal system: orthorhombic
ΔE_f (eV/atom): -1.890
Symmetry: Fddd (70)
Magnetization (μB/f.u.): 0.00
Energy above the most stable polymorph in this dataset (meV per atom): 0

Lattice parameters (Å, degrees): 10.519 10.446 10.142 61.43 60.71 57.86
Positions (direct):
Na: 0.077 0.673 0.077
Na: 0.078 0.672 0.672
Na: 0.327 0.923 0.327
Na: 0.328 0.922 0.922
Na: 0.672 0.078 0.078
Na: 0.673 0.077 0.673
Na: 0.922 0.328 0.328
Na: 0.923 0.327 0.923
Sb: 0.000 0.500 0.500
Sb: 0.500 0.000 0.500
Sb: 0.500 0.500 0.000
Sb: 0.500 0.500 0.500
C: 0.271 0.658 0.288
C: 0.283 0.288 0.658
C: 0.288 0.283 0.271
C: 0.342 0.729 0.717
C: 0.658 0.271 0.283
C: 0.712 0.717 0.729
C: 0.717 0.712 0.342
C: 0.729 0.342 0.712
S: 0.125 0.125 0.125
S: 0.875 0.875 0.875
O: 0.057 0.302 0.071
O: 0.070 0.071 0.302
O: 0.071 0.070 0.057
O: 0.147 0.647 0.408
O: 0.150 0.303 0.665
O: 0.150 0.402 0.284
O: 0.284 0.664 0.150
O: 0.298 0.408 0.647
O: 0.302 0.057 0.070
O: 0.303 0.150 0.383
O: 0.335 0.617 0.850
O: 0.336 0.716 0.598
O: 0.353 0.853 0.702
O: 0.383 0.665 0.303
O: 0.402 0.150 0.664
O: 0.408 0.298 0.147
O: 0.592 0.702 0.853
O: 0.598 0.850 0.336
O: 0.617 0.335 0.697
O: 0.647 0.147 0.298
O: 0.664 0.284 0.402
O: 0.665 0.383 0.150
O: 0.697 0.850 0.617
O: 0.698 0.943 0.930
O: 0.702 0.592 0.353
O: 0.716 0.336 0.850
O: 0.850 0.598 0.716
O: 0.850 0.697 0.335
O: 0.853 0.353 0.592
O: 0.929 0.930 0.943
O: 0.930 0.929 0.698
O: 0.943 0.698 0.929